Density functional theory data (PBE with a Hubbard U) for a geometry-optimized Rb2VP2O8 structure.

POSCAR file:
```
Rb2VP2O8
1.0
7.183 0.000 0.000
0.000 9.225 0.000
0.000 0.000 13.268
Rb V P O
8 4 8 32
direct
0.229 0.170 0.411
0.233 0.611 0.589
0.267 0.389 0.089
0.271 0.830 0.911
0.729 0.330 0.589
0.733 0.889 0.411
0.767 0.111 0.911
0.771 0.670 0.089
0.245 0.245 0.806
0.255 0.755 0.306
0.745 0.255 0.194
0.755 0.745 0.694
0.011 0.029 0.653
0.085 0.007 0.165
0.415 0.993 0.665
0.489 0.971 0.153
0.511 0.471 0.347
0.585 0.493 0.835
0.915 0.507 0.335
0.989 0.529 0.847
0.016 0.652 0.316
0.028 0.922 0.074
0.051 0.558 0.953
0.057 0.172 0.710
0.090 0.920 0.265
0.126 0.439 0.781
0.175 0.199 0.917
0.201 0.932 0.651
0.299 0.068 0.151
0.325 0.801 0.417
0.374 0.561 0.281
0.410 0.080 0.765
0.443 0.828 0.210
0.449 0.442 0.453
0.472 0.078 0.574
0.484 0.348 0.816
0.516 0.848 0.684
0.528 0.578 0.926
0.551 0.942 0.047
0.557 0.328 0.290
0.590 0.580 0.735
0.626 0.061 0.219
0.675 0.301 0.083
0.701 0.568 0.349
0.799 0.432 0.849
0.825 0.699 0.583
0.874 0.939 0.719
0.910 0.420 0.235
0.943 0.672 0.790
0.949 0.058 0.547
0.972 0.422 0.426
0.984 0.152 0.184
```

distance to the lowest polymorph of the same formula: 0.0 meV per atom
maximum piezoelectric response: 0.15 C/m2
space group: No. 19
formation energy from the elements: -2.6712 eV per atom

Density functional theory data (PBE with a Hubbard U) for a geometry-optimized RbV2PO11 structure.

POSCAR file:
```
RbV2PO11
1.0
7.101 0.000 0.000
0.000 10.804 0.000
0.000 0.000 12.587
Rb V P O
4 8 4 44
direct
0.232 0.237 0.293
0.268 0.763 0.793
0.732 0.263 0.707
0.768 0.737 0.207
0.019 0.775 0.496
0.219 0.497 0.590
0.281 0.503 0.090
0.481 0.225 0.996
0.519 0.725 0.504
0.719 0.003 0.410
0.781 0.997 0.910
0.981 0.275 0.004
0.240 0.581 0.354
0.260 0.419 0.854
0.740 0.919 0.646
0.760 0.081 0.146
0.051 0.609 0.587
0.054 0.403 0.076
0.068 0.670 0.370
0.074 0.343 0.868
0.135 0.325 0.593
0.177 0.690 0.083
0.229 0.520 0.244
0.230 0.473 0.434
0.243 0.062 0.618
0.249 0.199 0.018
0.249 0.928 0.215
0.251 0.072 0.715
0.251 0.801 0.518
0.257 0.938 0.118
0.270 0.527 0.934
0.271 0.480 0.744
0.323 0.310 0.583
0.365 0.675 0.093
0.426 0.657 0.368
0.432 0.330 0.870
0.446 0.597 0.576
0.449 0.391 0.087
0.551 0.891 0.413
0.554 0.097 0.924
0.568 0.830 0.630
0.574 0.157 0.132
0.635 0.175 0.407
0.677 0.810 0.917
0.729 0.980 0.756
0.730 0.027 0.566
0.743 0.438 0.382
0.749 0.301 0.982
0.749 0.572 0.785
0.751 0.428 0.285
0.751 0.699 0.482
0.757 0.562 0.882
0.770 0.973 0.066
0.771 0.020 0.256
0.823 0.190 0.417
0.865 0.825 0.907
0.926 0.843 0.632
0.932 0.170 0.130
0.946 0.903 0.424
0.949 0.109 0.913
```

space group: No. 19
formation energy from the elements: -1.6425 eV per atom

Density functional theory data (PBE with a Hubbard U) for a geometry-optimized RbVPO5 structure.

POSCAR file:
```
RbVPO5
1.0
7.752 0.000 0.000
0.000 8.021 0.000
0.000 0.000 8.521
Rb V P O
4 4 4 20
direct
0.120 0.046 0.270
0.380 0.954 0.770
0.620 0.454 0.730
0.880 0.546 0.230
0.113 0.464 0.623
0.387 0.536 0.123
0.613 0.036 0.377
0.887 0.964 0.877
0.125 0.321 0.903
0.375 0.679 0.403
0.625 0.179 0.097
0.875 0.821 0.597
0.020 0.931 0.676
0.062 0.142 0.933
0.069 0.330 0.483
0.187 0.394 0.061
0.232 0.667 0.273
0.268 0.333 0.773
0.313 0.606 0.561
0.431 0.670 0.983
0.438 0.858 0.433
0.480 0.069 0.176
0.520 0.569 0.324
0.562 0.358 0.067
0.569 0.170 0.517
0.687 0.106 0.939
0.732 0.833 0.727
0.768 0.167 0.227
0.813 0.894 0.439
0.931 0.830 0.017
0.938 0.642 0.567
0.980 0.431 0.824
```

maximum piezoelectric response: 0.04 C/m2
space group: No. 19
formation energy from the elements: -2.6484 eV per atom

Density functional theory data (PBE with a Hubbard U) for a geometry-optimized Rb6V6P6O31 structure.

POSCAR file:
```
Rb6V6P6O31
1.0
13.661 0.000 0.000
0.000 7.191 0.000
0.000 0.000 14.711
Rb V P O
12 12 12 62
direct
0.000 0.135 0.000
0.000 0.644 0.514
0.238 0.151 0.166
0.246 0.661 0.341
0.254 0.339 0.841
0.262 0.849 0.666
0.500 0.356 0.014
0.500 0.865 0.500
0.738 0.849 0.666
0.746 0.339 0.841
0.754 0.661 0.341
0.762 0.151 0.166
0.000 0.015 0.745
0.000 0.514 0.761
0.125 0.098 0.426
0.126 0.595 0.078
0.374 0.405 0.578
0.375 0.902 0.926
0.500 0.486 0.261
0.500 0.985 0.245
0.625 0.902 0.926
0.626 0.405 0.578
0.874 0.595 0.078
0.875 0.098 0.426
0.000 0.487 0.262
0.000 0.898 0.265
0.150 0.290 0.622
0.150 0.789 0.884
0.350 0.211 0.384
0.350 0.710 0.122
0.500 0.102 0.765
0.500 0.513 0.762
0.650 0.211 0.384
0.650 0.710 0.122
0.850 0.290 0.622
0.850 0.789 0.884
0.000 0.043 0.458
0.000 0.290 0.800
0.000 0.351 0.339
0.000 0.544 0.048
0.000 0.691 0.314
0.000 0.791 0.708
0.000 0.872 0.163
0.095 0.486 0.204
0.095 0.989 0.301
0.104 0.613 0.842
0.105 0.113 0.664
0.107 0.468 0.666
0.107 0.969 0.841
0.132 0.300 0.518
0.133 0.798 0.988
0.183 0.419 0.030
0.183 0.925 0.475
0.238 0.222 0.363
0.238 0.720 0.142
0.262 0.280 0.642
0.262 0.778 0.863
0.317 0.075 0.975
0.317 0.581 0.530
0.367 0.202 0.488
0.368 0.700 0.018
0.393 0.031 0.341
0.393 0.532 0.166
0.395 0.887 0.164
0.396 0.387 0.342
0.405 0.011 0.801
0.405 0.514 0.704
0.500 0.128 0.663
0.500 0.209 0.208
0.500 0.309 0.814
0.500 0.456 0.548
0.500 0.649 0.839
0.500 0.710 0.300
0.500 0.957 0.958
0.595 0.011 0.801
0.595 0.514 0.704
0.604 0.387 0.342
0.605 0.887 0.164
0.607 0.031 0.341
0.607 0.532 0.166
0.632 0.700 0.018
0.633 0.202 0.488
0.683 0.075 0.975
0.683 0.581 0.530
0.738 0.280 0.642
0.738 0.778 0.863
0.762 0.222 0.363
0.762 0.720 0.142
0.817 0.419 0.030
0.817 0.925 0.475
0.867 0.798 0.988
0.868 0.300 0.518
0.893 0.468 0.666
0.893 0.969 0.841
0.895 0.113 0.664
0.896 0.613 0.842
0.905 0.486 0.204
0.905 0.989 0.301
```

space group: No. 31
formation energy from the elements: -2.6187 eV per atom